1.
The following is a DFT calculation (PBE) of a relaxed structure of Na6Al2Ga2Si3S3O24.

Lattice parameters (Å, degrees): 8.7227 8.7581 21.8076 89.51 89.23 60.86
With the nearest neighbours (Å) after each atom.
Space group P1 (No. 1)
One atom of each set of equivalent atoms:
Na 0.0000 0.0000 0.0000  4 O 2.26-2.51
Na 0.9998 0.2834 0.5120  6 O 2.31-2.57
Na 0.0081 0.6267 0.7500  6 O 2.33-2.61
Na 0.0102 0.6388 0.2550  6 O 2.37-2.57
Na 0.2909 0.3174 0.6709  6 O 2.40-2.63
Na 0.2977 0.6697 0.1708  6 O 2.36-2.56
Na 0.3272 0.3531 0.3426  5 O 2.38-2.47
Na 0.3310 0.6002 0.8340  6 O 2.37-2.59
Na 0.3318 0.9750 0.5883  6 O 2.43-2.64
Na 0.3367 0.9746 0.0838  3 O 2.29-2.50
Na 0.3723 0.2728 0.9962  5 O 2.41-2.56
Na 0.3733 0.6330 0.5062  5 O 2.41-2.50
Na 0.6577 0.9516 0.1612  6 O 2.39-2.56
Na 0.6612 0.3178 0.9185  6 O 2.42-2.66
Na 0.6632 0.3021 0.4263  3 O 2.30-2.40
Na 0.6649 0.6651 0.6647  5 O 2.31-2.54
Na 0.6913 0.6123 0.3495  5 O 2.36-2.58
Na 0.6908 0.9829 0.8392  5 O 2.33-2.56
Al 0.0137 0.6329 0.1003  4 O 1.79-1.90
Al 0.0255 0.6385 0.4100  4 O 1.77-1.88
Al 0.3040 0.9965 0.7294  4 O 1.79-1.91
Al 0.3176 0.9853 0.2378  3 O 1.79-1.85
Al 0.3530 0.9563 0.4449  3 O 1.78-1.82
Al 0.6381 0.3288 0.2720  3 O 1.80-1.93
Ga 0.0089 0.6130 0.6049  4 O 1.88-1.93
Ga 0.0152 0.6306 0.9041  4 O 1.87-2.02
Ga 0.3635 0.9604 0.9411  4 O 1.86-1.94
Ga 0.6396 0.3216 0.7642  4 O 1.82-2.00
Ga 0.6424 0.3027 0.0644  3 O 1.86-1.91
Ga 0.6539 0.3384 0.5688  4 O 1.87-1.99
Si 0.2956 0.6466 0.0038  4 O 1.64
Si 0.3029 0.3337 0.5018  4 O 1.63-1.66
Si 0.3228 0.6957 0.3362  4 O 1.63-1.70
Si 0.3262 0.2643 0.8357  4 O 1.62-1.69
Si 0.3561 0.6205 0.6707  4 O 1.63-1.65
Si 0.3593 0.3072 0.1720  4 O 1.64-1.65
Si 0.7167 0.6487 0.5012  4 O 1.62-1.66
Si 0.7199 0.9176 0.0058  4 O 1.63-1.68
Si 0.9492 0.3019 0.6696  4 O 1.63-1.66
S 0.0335 0.2616 0.3348  4 O 1.46-1.50
S 0.0415 0.9807 0.8375  4 O 1.47-1.51
S 0.6211 0.9795 0.3337  4 O 1.47-1.50
S 0.6266 0.6814 0.8360  4 O 1.47-1.50
S 0.6665 0.0164 0.6713  4 O 1.46-1.51
S 0.6703 0.5938 0.1715  4 O 1.47-1.51
S 0.9510 0.0294 0.1726  4 O 1.48-1.50
S 0.9906 0.3575 0.0060  4 O 1.47-1.49
S 0.9982 0.9303 0.5012  4 O 1.46-1.51
O 0.0154 0.4404 0.3365  1 S 1.50
O 0.0231 0.4424 0.0593  1 S 1.49
O 0.0237 0.8172 0.8386  1 S 1.51
O 0.0333 0.8203 0.5556  1 S 1.46
O 0.1089 0.1619 0.3906  1 S 1.46
O 0.1208 0.9985 0.8947  1 S 1.48
O 0.1333 0.0017 0.1781  1 S 1.49
O 0.1493 0.1826 0.0023  1 S 1.48
O 0.1499 0.1409 0.6745  1 Si 1.63, 1 Al 1.79
O 0.1516 0.6635 0.3436  1 Si 1.66
O 0.1529 0.1777 0.2811  1 S 1.49
O 0.1545 0.4628 0.8414  1 Si 1.66
O 0.1578 0.9520 0.7840  1 S 1.48
O 0.1594 0.9514 0.4933  1 S 1.51
O 0.1657 0.6336 0.6606  1 Si 1.63
O 0.1705 0.4876 0.1616  1 Si 1.65
O 0.1725 0.6808 0.0652  1 Si 1.64, 1 Al 1.79
O 0.1759 0.4127 0.5620  1 Si 1.63
O 0.2183 0.4670 0.4426  1 Si 1.66, 1 Al 1.77
O 0.2181 0.5957 0.9441  1 Si 1.64
O 0.2965 0.8322 0.9957  1 Si 1.64
O 0.3022 0.1512 0.4876  1 Si 1.63, 1 Al 1.80
O 0.3044 0.8070 0.2731  1 Si 1.64, 1 Al 1.79
O 0.3134 0.1612 0.7767  1 Si 1.62
O 0.3509 0.1245 0.1828  1 Si 1.65, 1 Al 1.82
O 0.3587 0.8017 0.6841  1 Si 1.63
O 0.3632 0.7888 0.3933  1 Si 1.63, 1 Al 1.82
O 0.3651 0.1459 0.8991  1 Si 1.66
O 0.4294 0.4890 0.7308  1 Si 1.65
O 0.4537 0.3477 0.2299  1 Si 1.65, 1 Al 1.80
O 0.4867 0.5387 0.6108  1 Si 1.64
O 0.4883 0.4728 0.0103  1 Si 1.64
O 0.4918 0.2553 0.1122  1 Si 1.64
O 0.4943 0.3208 0.5110  1 Si 1.63
O 0.5040 0.4954 0.3302  1 Si 1.70, 1 Al 1.85
O 0.5053 0.9956 0.6769  1 S 1.51
O 0.5061 0.0151 0.3882  1 S 1.48
O 0.5091 0.2847 0.8318  1 Si 1.69
O 0.5104 0.7723 0.1761  1 S 1.51
O 0.5138 0.7567 0.8923  1 S 1.50
O 0.5149 0.8092 0.4967  1 Si 1.64, 1 Al 1.78
O 0.5166 0.9577 0.0035  1 Si 1.63
O 0.5365 0.9516 0.2786  1 S 1.50
O 0.5431 0.7908 0.7820  1 S 1.47
O 0.6326 0.1339 0.6187  1 S 1.47
O 0.6404 0.1400 0.3264  1 S 1.50
O 0.6411 0.5102 0.1182  1 S 1.47
O 0.6435 0.5054 0.8330  1 S 1.48
O 0.6908 0.0910 0.7296  1 S 1.50
O 0.6916 0.4898 0.2285  1 S 1.50
O 0.7010 0.4673 0.5022  1 Si 1.66
O 0.7058 0.1151 0.0081  1 Si 1.68
O 0.7935 0.8228 0.3387  1 S 1.47
O 0.7995 0.6733 0.8423  1 S 1.48
O 0.7987 0.6789 0.5633  1 Si 1.62
O 0.8121 0.8034 0.0676  1 Si 1.64, 1 Al 1.81
O 0.8200 0.3397 0.7289  1 Si 1.63, 1 Ga 1.82
O 0.8203 0.8429 0.6661  1 S 1.46
O 0.8264 0.6180 0.1674  1 S 1.48
O 0.8343 0.1228 0.2252  1 S 1.48
O 0.8362 0.3331 0.0149  1 S 1.47
O 0.8363 0.8340 0.9431  1 Si 1.64
O 0.8407 0.6218 0.4395  1 Si 1.66, 1 Al 1.80
O 0.8438 0.1036 0.5041  1 S 1.46
O 0.8550 0.2819 0.3257  1 S 1.49
O 0.8648 0.1324 0.8327  1 S 1.47
O 0.8690 0.2702 0.6066  1 Si 1.64
O 0.8814 0.1256 0.1147  1 S 1.48
O 0.9615 0.4587 0.9491  1 S 1.47
O 0.9655 0.4825 0.6680  1 Si 1.66
O 0.9648 0.8517 0.1715  1 S 1.50
O 0.9770 0.8459 0.4453  1 S 1.49

Calculated values
- Uncorrected energy: -754.893 eV per cell
- Energy of formation from the pure elements: -2.48 eV/atom



2.
The following is a DFT calculation (PBE) of a relaxed structure of Nb2Al3Ga3.

Lattice parameters (Å, degrees): 3.8350 3.8350 8.6906 90.00 90.00 90.00
With the nearest neighbours (Å) after each atom.
Space group P-4m2 (No. 115)
One atom of each set of equivalent atoms:
Nb 0.0000 0.5000 0.2499  6 Al 2.71-2.90, 6 Ga 2.90
Al 0.0000 0.0000 0.5000  4 Ga 2.71, 4 Al 2.89, 4 Nb 2.90
Al 0.0000 0.5000 0.7486  4 Nb 2.71, 2 Al 2.89, 6 Ga 2.89-2.91
Ga 0.0000 0.0000 0.0000  4 Ga 2.71, 4 Nb 2.90, 4 Al 2.91
Ga 0.5000 0.5000 0.0000  4 Ga 2.71, 4 Nb 2.90, 4 Al 2.91
Ga 0.5000 0.5000 0.5000  8 Al 2.71-2.89, 4 Nb 2.90

Calculated values
- Uncorrected energy: -43.395 eV per cell
- Energy of formation from the pure elements: -0.36 eV/atom



3.
The following is a DFT calculation (PBE) of a relaxed structure of Nb12Al3Ga.

Lattice parameters (Å, degrees): 5.2025 5.2031 10.3991 90.00 90.00 90.00
With the nearest neighbours (Å) after each atom.
Space group Pmmm (No. 47)
One atom of each set of equivalent atoms:
Nb 0.0000 0.0000 0.1251  2 Nb 2.59-2.60
Nb 0.0000 0.0000 0.3743  2 Nb 2.59-2.61
Nb 0.2486 0.5000 0.0000  2 Nb 2.59-2.62
Nb 0.2504 0.5000 0.5000  2 Nb 2.60-2.61, 4 Al 2.91
Nb 0.5000 0.2513 0.2501  2 Nb 2.59-2.62
Al 0.0000 0.5000 0.2500  12 Nb 2.90-2.91
Al 0.5000 0.0000 0.5000  12 Nb 2.91
Ga 0.5000 0.0000 0.0000  12 Nb 2.91

Calculated values
- Uncorrected energy: -138.262 eV per cell
- Energy of formation from the pure elements: -0.17 eV/atom



4.
The following is a DFT calculation (PBE) of a relaxed structure of Nb6AlGa.

Lattice parameters (Å, degrees): 5.2002 5.2002 5.2002 90.00 90.00 90.00
With the nearest neighbours (Å) after each atom.
Space group Pm-3 (No. 200)
One atom of each set of equivalent atoms:
Nb 0.0000 0.2455 0.5000  2 Nb 2.55-2.65
Al 0.0000 0.0000 0.0000  12 Nb 2.90
Ga 0.5000 0.5000 0.5000  12 Nb 2.92

Calculated values
- Uncorrected energy: -68.776 eV per cell
- Energy of formation from the pure elements: -0.17 eV/atom



5.
The following is a DFT calculation (PBE) of a relaxed structure of AlGaNi6.

Lattice parameters (Å, degrees): 3.5693 3.5693 7.1320 90.00 90.00 90.00
With the nearest neighbours (Å) after each atom.
Space group P4/mmm (No. 123)
One atom of each set of equivalent atoms:
Al 0.0000 0.0000 0.0000  12 Ni 2.52
Ga 0.0000 0.0000 0.5000  12 Ni 2.52-2.53
Ni 0.0000 0.5000 0.2494  8 Ni 2.52-2.53, 2 Al 2.52, 2 Ga 2.53
Ni 0.5000 0.5000 0.0000  8 Ni 2.52, 4 Al 2.52
Ni 0.5000 0.5000 0.5000  4 Ga 2.52, 8 Ni 2.53

Calculated values
- Uncorrected energy: -44.356 eV per cell
- Energy of formation from the pure elements: -0.36 eV/atom



6.
The following is a DFT calculation (PBE) of a relaxed structure of Al3Ga3Ni10.

Lattice parameters (Å, degrees): 5.0098 3.7277 10.0190 90.00 97.00 90.00
With the nearest neighbours (Å) after each atom.
Space group Pm (No. 6)
One atom of each set of equivalent atoms:
Al 0.0000 0.0000 0.0000  10 Ni 2.45-2.59
Al 0.0014 0.0000 0.5026  10 Ni 2.46-2.58
Al 0.4392 0.0000 0.7816  10 Ni 2.45-2.58
Ga 0.4394 0.0000 0.2825  10 Ni 2.46-2.60
Ga 0.7204 0.5000 0.6416  8 Ni 2.38-2.51
Ga 0.7230 0.5000 0.1399  8 Ni 2.39-2.53
Ni 0.2183 0.5000 0.3929  2 Al 2.48, 8 Ni 2.49-2.61, 2 Ga 2.49
Ni 0.2195 0.5000 0.8915  4 Al 2.48-2.49, 8 Ni 2.50-2.61
Ni 0.2206 0.5000 0.1407  4 Ga 2.49-2.52, 6 Ni 2.50-2.65, 2 Al 2.51
Ni 0.2210 0.5000 0.6424  6 Ni 2.50-2.65, 4 Al 2.50, 2 Ga 2.50-2.51
Ni 0.4947 0.0000 0.0277  3 Ga 2.39-2.60, 3 Al 2.45-2.58, 6 Ni 2.60-2.65
Ni 0.4953 0.0000 0.5302  3 Ga 2.38-2.46, 3 Al 2.46-2.58, 6 Ni 2.61-2.66
Ni 0.7191 0.5000 0.8906  2 Ga 2.50, 4 Al 2.50-2.51, 6 Ni 2.50-2.65
Ni 0.7212 0.5000 0.3920  6 Ni 2.49-2.66, 4 Ga 2.50-2.53, 2 Al 2.51
Ni 0.9453 0.0000 0.7540  2 Ga 2.39, 4 Al 2.45-2.58, 6 Ni 2.61-2.65
Ni 0.9456 0.0000 0.2542  4 Ga 2.39-2.59, 2 Al 2.47-2.59, 6 Ni 2.61-2.65

Calculated values
- Uncorrected energy: -85.745 eV per cell
- Energy of formation from the pure elements: -0.48 eV/atom



7.
The following is a DFT calculation (PBE) of a relaxed structure of AlGaO3.

Lattice parameters (Å, degrees): 5.0017 8.6015 9.2778 90.00 90.00 90.00
With the nearest neighbours (Å) after each atom.
Space group Pna2_1 (No. 33)
One atom of each set of equivalent atoms:
Al 0.1715 0.1543 0.0000  4 O 1.77-1.80
Al 0.1821 0.8368 0.8037  6 O 1.83-2.00
Ga 0.1694 0.4678 0.7975  4 O 1.89-2.05
Ga 0.1879 0.1492 0.5827  4 O 1.89-2.06
O 0.0060 0.3268 0.9413  2 Al 1.77-1.78
O 0.0091 0.0102 0.4292  2 Al 1.80-2.00
O 0.0205 0.6775 0.9171  2 Al 1.91-2.00, 1 Ga 2.13
O 0.1474 0.1646 0.1937  3 Al 1.80-1.99
O 0.1584 0.8293 0.1692  3 Ga 1.89-1.92
O 0.1601 0.4928 0.2004  1 Al 1.83, 2 Ga 1.89-1.91

Calculated values
- Largest piezoelectric modulus: 0.7 C/m²
- Uncorrected energy: -269.257 eV per cell
- Energy of formation from the pure elements: -2.82 eV/atom



8.
The following is a DFT calculation (PBE) of a relaxed structure of AlGaO3.

Lattice parameters (Å, degrees): 4.9951 8.6250 9.1598 90.00 90.00 90.00
With the nearest neighbours (Å) after each atom.
Space group Pna2_1 (No. 33)
One atom of each set of equivalent atoms:
Al 0.1805 0.0339 0.0000  5 O 1.82-1.98
Al 0.1897 0.3427 0.7944  5 O 1.86-2.02
Ga 0.1825 0.3506 0.2014  4 O 1.83-1.88
Ga 0.1863 0.6579 0.0173  6 O 1.91-2.04
O 0.0195 0.8207 0.1444  2 Ga 2.01-2.04, 2 Al 2.01-2.23
O 0.0322 0.1640 0.1421  2 Ga 1.83-1.86, 1 Al 1.87
O 0.0379 0.4875 0.6425  2 Ga 1.86-2.04, 2 Al 1.96-2.02
O 0.1486 0.6690 0.3797  3 Al 1.82-1.87
O 0.1503 0.9920 0.4128  2 Al 1.85-1.86, 1 Ga 1.91
O 0.1687 0.3456 0.4067  3 Ga 1.88-2.04, 1 Al 1.98

Calculated values
- Uncorrected energy: -269.214 eV per cell
- Energy of formation from the pure elements: -2.82 eV/atom



9.
The following is a DFT calculation (PBE) of a relaxed structure of AlGaO3.

Lattice parameters (Å, degrees): 5.0095 7.4480 4.8892 90.00 90.00 90.00
With the nearest neighbours (Å) after each atom.
Space group Pnma (No. 62)
One atom of each set of equivalent atoms:
Al 0.0000 0.0000 0.0000  6 O 1.88-2.01
Ga 0.0430 0.2500 0.4860  4 O 1.94-2.02
O 0.0798 0.7500 0.1321  2 Ga 1.97-2.02, 2 Al 2.01
O 0.1855 0.5714 0.6810  2 Al 1.88-1.89, 1 Ga 1.94

Calculated values
- Uncorrected energy: -133.031 eV per cell
- Energy of formation from the pure elements: -2.74 eV/atom



10.
The following is a DFT calculation (PBE) of a relaxed structure of Al2GaP3O12.

Lattice parameters (Å, degrees): 8.7020 4.9969 11.1317 90.00 90.15 90.00
With the nearest neighbours (Å) after each atom.
Space group C2 (No. 5)
One atom of each set of equivalent atoms:
Al 0.2321 0.0000 0.3349  4 O 1.75-1.76
Ga 0.0000 0.3013 0.0000  4 O 1.83-1.84
P 0.0000 0.3019 0.5000  4 O 1.54
P 0.2324 0.0007 0.8308  4 O 1.54
O 0.0622 0.1242 0.3980  1 P 1.54
O 0.0738 0.0972 0.8751  1 P 1.54
O 0.1291 0.4811 0.5501  1 P 1.54
O 0.1527 0.5118 0.0634  1 P 1.54
O 0.2079 0.6810 0.2716  1 P 1.54
O 0.2110 0.7138 0.7825  1 P 1.54

Calculated values
- Uncorrected energy: -261.367 eV per cell
- Energy of formation from the pure elements: -2.93 eV/atom



no.,V (Å³ per atom)
1,12.13
2,15.98
3,17.59
4,17.58
5,11.36
6,11.61
7,9.98
8,9.87
9,9.12
10,13.45